Computed, not measured: an optimized crystal structure of Hf2N2O at the r²SCAN level of DFT.

```
data_Hf2N2O
_symmetry_space_group_name_H-M 'P 1'
_symmetry_Int_Tables_number 1
_cell_length_a 8.6429
_cell_length_b 8.6769
_cell_length_c 8.6799
_cell_angle_alpha 109.59
_cell_angle_beta 109.45
_cell_angle_gamma 109.22
loop_
_symmetry_equiv_pos_as_xyz
'x,y,z'
loop_
_atom_site_label
_atom_site_type_symbol
_atom_site_fract_x
_atom_site_fract_y
_atom_site_fract_z
_atom_site_occupancy
Hf1 Hf 0.0000 0.0000 0.0000 1
Hf2 Hf 0.0062 0.5038 0.5026 1
Hf3 Hf 0.0371 0.2859 0.8146 1
Hf4 Hf 0.2150 0.2425 0.5362 1
Hf5 Hf 0.2422 0.0331 0.7844 1
Hf6 Hf 0.2593 0.5444 0.2831 1
Hf7 Hf 0.2912 0.8211 0.0365 1
Hf8 Hf 0.4679 0.7855 0.7489 1
Hf9 Hf 0.4956 0.5606 0.0701 1
Hf10 Hf 0.5052 0.0651 0.5674 1
Hf11 Hf 0.5307 0.2756 0.3082 1
Hf12 Hf 0.7149 0.7512 0.5441 1
Hf13 Hf 0.7503 0.5309 0.7939 1
Hf14 Hf 0.7609 0.0519 0.2943 1
Hf15 Hf 0.7919 0.3327 0.0437 1
Hf16 Hf 0.9701 0.7904 0.2565 1
N1 N 0.0284 0.5795 0.2988 1
N2 N 0.2108 0.7598 0.7528 1
N3 N 0.2245 0.9920 0.5152 1
N4 N 0.2391 0.5715 0.0490 1
N5 N 0.2807 0.0774 0.0585 1
N6 N 0.3026 0.3078 0.8222 1
N7 N 0.4850 0.4928 0.2777 1
N8 N 0.4893 0.8063 0.5179 1
N9 N 0.5156 0.0235 0.3224 1
N10 N 0.7116 0.5307 0.0167 1
N11 N 0.7163 0.7676 0.7978 1
N12 N 0.7358 0.2600 0.2358 1
N13 N 0.7838 0.2953 0.7764 1
N14 N 0.9760 0.0001 0.7358 1
N15 N 0.9838 0.2770 0.5579 1
N16 N 0.9897 0.0437 0.2493 1
O1 O 0.0169 0.2624 0.0614 1
O2 O 0.0245 0.7592 0.0214 1
O3 O 0.2687 0.4986 0.5252 1
O4 O 0.4832 0.3174 0.5502 1
O5 O 0.5282 0.7977 0.0169 1
O6 O 0.5305 0.0660 0.8377 1
O7 O 0.7660 0.8100 0.3333 1
O8 O 0.8004 0.5443 0.5623 1
```

Output
* E: -25.47 eV/atom
* total magnetic moment: 0.00 μB per formula unit